1.
Computed, not measured: a geometry-optimized V6CuO15 structure at the PBE with a Hubbard U level of DFT.

Cell: 7.3732 7.9270 10.2728 Å, 106.68 90.01 103.42°
Sites, in units of the cell vectors:
1 V 0.0000 0.0000 0.0000
2 V 0.0224 0.0894 0.6840
3 V 0.1099 0.4360 0.9708
4 V 0.2250 0.8906 0.2108
5 V 0.3090 0.2421 0.4984
6 V 0.3332 0.3299 0.1823
7 V 0.5002 0.9951 0.9938
8 V 0.5221 0.0968 0.6852
9 V 0.6125 0.4401 0.9736
10 V 0.7243 0.8944 0.2093
11 V 0.8084 0.2332 0.4971
12 V 0.8335 0.3359 0.1881
13 Cu 0.3764 0.7115 0.4591
14 Cu 0.8545 0.6187 0.7233
15 O 0.0374 0.1506 0.8670
16 O 0.0427 0.1758 0.5173
17 O 0.0628 0.2815 0.1333
18 O 0.1101 0.4678 0.8215
19 O 0.1667 0.6659 0.0922
20 O 0.2313 0.8580 0.3630
21 O 0.2695 0.0466 0.0492
22 O 0.2893 0.1558 0.6652
23 O 0.2959 0.1797 0.3160
24 O 0.3507 0.3997 0.0059
25 O 0.3623 0.4629 0.5483
26 O 0.3760 0.5332 0.2991
27 O 0.4485 0.7976 0.8826
28 O 0.4607 0.8720 0.6272
29 O 0.4828 0.9287 0.1716
30 O 0.5374 0.1476 0.8698
31 O 0.5450 0.1785 0.5187
32 O 0.5822 0.2975 0.1383
33 O 0.6339 0.4682 0.8193
34 O 0.6665 0.6650 0.0902
35 O 0.7101 0.8681 0.3611
36 O 0.7512 0.0358 0.0437
37 O 0.7865 0.1512 0.6635
38 O 0.7952 0.1835 0.3119
39 O 0.8519 0.4022 0.0105
40 O 0.8589 0.4582 0.5552
41 O 0.8878 0.5330 0.2996
42 O 0.9460 0.7970 0.8829
43 O 0.9656 0.8686 0.6341
44 O 0.9831 0.9307 0.1764

Total magnetization ... 0.998 μB per formula unit
Total energy after the MP2020 corrections ... -8.24 eV/atom
Energy of formation from the pure elements ... -2.1987 eV per atom



2.
Computed, not measured: a geometry-optimized Sr7CaTi3Mn5O20 structure at the PBE with a Hubbard U level of DFT.

Cell: 11.1894 11.3414 17.8173 Å, 71.48 71.86 89.92°
Sites, in units of the cell vectors:
1 Sr 0.0000 0.0000 0.0000
2 Sr 0.0014 0.9998 0.4986
3 Sr 0.0019 0.4961 0.9976
4 Sr 0.1108 0.6254 0.2736
5 Sr 0.1135 0.1254 0.7748
6 Sr 0.1167 0.6185 0.7746
7 Sr 0.2458 0.2598 0.9997
8 Sr 0.2477 0.7577 0.0001
9 Sr 0.2530 0.7598 0.4983
10 Sr 0.2560 0.2600 0.4990
11 Sr 0.3548 0.3605 0.7760
12 Sr 0.3582 0.8596 0.2749
13 Sr 0.3593 0.8603 0.7755
14 Sr 0.3646 0.3572 0.2751
15 Sr 0.4968 0.4991 0.9978
16 Sr 0.4975 0.9970 0.9982
17 Sr 0.4994 0.0000 0.4961
18 Sr 0.5014 0.4985 0.4965
19 Sr 0.6042 0.6214 0.7764
20 Sr 0.6063 0.1225 0.7770
21 Sr 0.7454 0.7577 0.0006
22 Sr 0.7464 0.2602 0.0016
23 Sr 0.7464 0.2639 0.4953
24 Sr 0.7488 0.7594 0.4958
25 Sr 0.8584 0.8627 0.7758
26 Sr 0.8601 0.3570 0.2738
27 Sr 0.8635 0.3589 0.7758
28 Sr 0.9992 0.5012 0.4975
29 Ca 0.1111 0.1245 0.2797
30 Ca 0.6157 0.6215 0.2761
31 Ca 0.6191 0.1301 0.2754
32 Ca 0.8670 0.8562 0.2768
33 Ti 0.0518 0.8112 0.3892
34 Ti 0.0536 0.8102 0.8868
35 Ti 0.0567 0.3104 0.3889
36 Ti 0.3074 0.0601 0.3838
37 Ti 0.3089 0.5626 0.3842
38 Ti 0.5503 0.3091 0.8877
39 Ti 0.5513 0.8105 0.8868
40 Ti 0.5619 0.8131 0.3775
41 Ti 0.8043 0.0611 0.8879
42 Ti 0.8047 0.0602 0.3874
43 Ti 0.8046 0.5603 0.3828
44 Ti 0.8064 0.5631 0.8822
45 Mn 0.0543 0.3086 0.8874
46 Mn 0.1916 0.9645 0.6366
47 Mn 0.1930 0.4659 0.6340
48 Mn 0.1932 0.9673 0.1416
49 Mn 0.1949 0.4586 0.1411
50 Mn 0.3021 0.0596 0.8880
51 Mn 0.3026 0.5597 0.8882
52 Mn 0.4442 0.6532 0.1388
53 Mn 0.4458 0.1564 0.1388
54 Mn 0.4490 0.1557 0.6360
55 Mn 0.4494 0.6597 0.6317
56 Mn 0.5553 0.3119 0.3831
57 Mn 0.6948 0.4658 0.6368
58 Mn 0.6948 0.9656 0.6364
59 Mn 0.6968 0.4630 0.1357
60 Mn 0.6976 0.9644 0.1394
61 Mn 0.9385 0.6561 0.1367
62 Mn 0.9436 0.1574 0.6374
63 Mn 0.9450 0.6567 0.6367
64 Mn 0.9456 0.1492 0.1429
65 O 0.1067 0.8524 0.7619
66 O 0.1098 0.8581 0.2546
67 O 0.1115 0.3555 0.7536
68 O 0.1127 0.3508 0.2579
69 O 0.1170 0.6147 0.1389
70 O 0.1218 0.1310 0.1470
71 O 0.1263 0.1343 0.6348
72 O 0.1264 0.6359 0.6349
73 O 0.1701 0.1838 0.3950
74 O 0.1706 0.6877 0.3933
75 O 0.1725 0.6831 0.8944
76 O 0.1773 0.9334 0.8816
77 O 0.1769 0.9402 0.3753
78 O 0.1795 0.1778 0.8935
79 O 0.1793 0.4368 0.3769
80 O 0.1857 0.4403 0.8829
81 O 0.2244 0.9731 0.0303
82 O 0.2298 0.4724 0.0288
83 O 0.2331 0.4804 0.5084
84 O 0.2332 0.9765 0.5096
85 O 0.3448 0.1409 0.2615
86 O 0.3510 0.6458 0.2607
87 O 0.3672 0.9896 0.1374
88 O 0.3697 0.6509 0.7440
89 O 0.3710 0.1452 0.7487
90 O 0.3711 0.4844 0.1390
91 O 0.3749 0.9987 0.6347
92 O 0.3756 0.5021 0.6336
93 O 0.4198 0.1738 0.3910
94 O 0.4218 0.6810 0.3943
95 O 0.4233 0.6817 0.8944
96 O 0.4266 0.1825 0.8963
97 O 0.4301 0.9371 0.8820
98 O 0.4311 0.4525 0.3733
99 O 0.4328 0.4396 0.8807
100 O 0.4336 0.9416 0.3746
101 O 0.4835 0.2607 0.5221
102 O 0.4834 0.7627 0.0153
103 O 0.4873 0.2656 0.0149
104 O 0.4869 0.7648 0.5138
105 O 0.6055 0.8394 0.2603
106 O 0.6078 0.8554 0.7609
107 O 0.6099 0.3565 0.7621
108 O 0.6204 0.3506 0.2459
109 O 0.6227 0.6201 0.1467
110 O 0.6253 0.1287 0.1474
111 O 0.6251 0.6369 0.6347
112 O 0.6259 0.1372 0.6347
113 O 0.6724 0.1831 0.8962
114 O 0.6717 0.6841 0.8949
115 O 0.6719 0.6856 0.3932
116 O 0.6776 0.9355 0.8807
117 O 0.6811 0.1740 0.3902
118 O 0.6814 0.4387 0.8820
119 O 0.6836 0.9373 0.3708
120 O 0.6891 0.4525 0.3712
121 O 0.7289 0.4830 0.0195
122 O 0.7300 0.9757 0.0158
123 O 0.7358 0.9763 0.5089
124 O 0.7365 0.4832 0.5088
125 O 0.8544 0.1402 0.7629
126 O 0.8558 0.6572 0.2579
127 O 0.8567 0.6426 0.7624
128 O 0.8586 0.1422 0.2564
129 O 0.8704 0.4860 0.1364
130 O 0.8761 0.9899 0.6354
131 O 0.8768 0.4896 0.6360
132 O 0.8783 0.9851 0.1458
133 O 0.9168 0.1724 0.8979
134 O 0.9202 0.6803 0.8959
135 O 0.9254 0.4438 0.8839
136 O 0.9251 0.6866 0.3894
137 O 0.9267 0.1783 0.3906
138 O 0.9282 0.9390 0.8796
139 O 0.9328 0.4450 0.3738
140 O 0.9330 0.9427 0.3717
141 O 0.9797 0.2696 0.5088
142 O 0.9807 0.7661 0.0132
143 O 0.9809 0.7704 0.5093
144 O 0.9823 0.2480 0.0285

Total magnetization ... 22.913 μB per formula unit
Total energy after the MP2020 corrections ... -8.01 eV/atom
Energy of formation from the pure elements ... -2.9446 eV per atom



3.
Computed, not measured: a geometry-optimized FeOF structure at the PBE with a Hubbard U level of DFT.

Cell: 9.4822 3.0976 14.2538 Å, 90.00 90.03 90.00°
Sites, in units of the cell vectors:
1 Fe 0.0000 0.0000 0.0000
2 Fe 0.0016 0.0000 0.3421
3 Fe 0.2499 0.5000 0.4853
4 Fe 0.2570 0.5000 0.8553
5 Fe 0.2785 0.5000 0.1704
6 Fe 0.4903 0.0000 0.3380
7 Fe 0.4964 0.0000 0.0073
8 Fe 0.5042 0.0000 0.6677
9 Fe 0.7531 0.5000 0.1507
10 Fe 0.7789 0.5000 0.8400
11 Fe 0.7824 0.5000 0.5010
12 Fe 0.9904 0.0000 0.6718
13 O 0.1014 0.5000 0.9414
14 O 0.1564 0.0000 0.4336
15 O 0.3556 0.0000 0.2360
16 O 0.3603 0.0000 0.8970
17 O 0.4062 0.5000 0.0644
18 O 0.4163 0.5000 0.4052
19 O 0.6579 0.0000 0.0999
20 O 0.8508 0.0000 0.9021
21 O 0.8569 0.0000 0.5660
22 O 0.9063 0.5000 0.3936
23 O 0.9100 0.5000 0.7330
24 O 0.9155 0.5000 0.0677
25 F 0.1015 0.5000 0.2655
26 F 0.1114 0.5000 0.6047
27 F 0.1600 0.0000 0.1091
28 F 0.1635 0.0000 0.7680
29 F 0.3483 0.0000 0.5671
30 F 0.4041 0.5000 0.7307
31 F 0.6021 0.5000 0.5996
32 F 0.6037 0.5000 0.9312
33 F 0.6115 0.5000 0.2730
34 F 0.6569 0.0000 0.7689
35 F 0.6616 0.0000 0.4374
36 F 0.8539 0.0000 0.2312

Total magnetization ... 4.893 μB per formula unit
Total energy after the MP2020 corrections ... -7.13 eV/atom
Energy of formation from the pure elements ... -2.0231 eV per atom



Question: total magnetization of number 3 (FeOF)?
Answer: 4.893 μB per formula unit



Question: total energy after the MP2020 corrections of number 3 (FeOF)?
Answer: -7.13 eV/atom



Question: Among the records above, which one has the highest total energy after the MP2020 corrections?
Answer: FeOF